! MnPCO4, optimized geometry, DFT PBE+U; values from VASP
! Raw total energy, eV/cell: -204.53
&SYSTEM
  ibrav = 0, nat = 28, ntyp = 4
/
ATOMIC_SPECIES
Mn 54.94 Mn.upf
P 30.97 P.upf
C 12.01 C.upf
O 16.00 O.upf
ATOMIC_POSITIONS angstrom
Mn 2.2353 0.5605 0.0000
Mn 2.6470 3.2535 4.4195
Mn 7.1176 2.1324 0.0000
Mn 7.5293 4.8254 4.4195
P 0.4109 5.1850 6.2709
P 4.4714 2.4921 1.8514
P 5.2931 2.8939 6.2709
P 9.3537 0.2009 1.8514
C 0.0634 1.5676 3.0813
C 4.8189 4.2606 7.5008
C 4.9456 1.1253 3.0813
C 9.7012 3.8183 7.5008
O 0.8902 5.0456 1.2554
O 1.1460 0.8215 7.1297
O 1.1802 1.9329 3.3379
O 1.2849 4.4536 5.2599
O 3.5974 1.7606 0.8403
O 3.7021 4.6259 7.7574
O 3.7363 3.5145 2.7101
O 3.9921 2.3527 5.6750
O 5.7725 3.0333 1.2554
O 6.0282 1.8714 7.1297
O 6.0624 0.7601 3.3379
O 6.1671 3.6253 5.2599
O 8.4797 0.9324 0.8403
O 8.5844 3.4530 7.7574
O 8.6186 4.5644 2.7101
O 8.8744 0.3403 5.6750
CELL_PARAMETERS angstrom
9.7646 0.0000 0.0000
0.0000 5.3859 0.0000
0.0000 0.0000 8.8391